Crystalline CaSb2 at its relaxed geometry. Source: Materials Project, functional r²SCAN.

## Properties
total magnetization: 0.00 μB per cell
energy relative to the elements: -0.697 eV per atom
V: 86.02 Å³/f.u.
theoretical density: 5.5 g cm⁻³

Cell: 4.6372 4.2712 8.9846 Å, 90.00 104.81 90.00°
Space group P2_1/m (No. 11)
Symmetry-distinct sites (fractional):
Ca 0.1070 0.2500 0.2152
Sb 0.2581 0.7500 0.5128
Sb 0.4421 0.2500 0.8832

***

Crystalline V4O3F9 at its relaxed geometry. Source: Materials Project, functional r²SCAN.

## Properties
total magnetization: 10.00 μB per cell
energy relative to the elements: -3.035 eV per atom
energy relative to the lowest polymorph listed for this composition: 9.5 meV/atom
V: 198.46 Å³/f.u.
theoretical density: 3.5 g cm⁻³

Cell: 5.1118 5.2898 16.9494 Å, 83.28 82.13 61.14°
Space group P1 (No. 1)
Symmetry-distinct sites (fractional):
V 0.0000 0.0000 0.0000
V 0.0258 0.1979 0.6246
V 0.2236 0.2730 0.2600
V 0.3295 0.4170 0.8776
V 0.4229 0.5602 0.4960
V 0.5667 0.6644 0.1259
V 0.6643 0.8257 0.7567
V 0.8233 0.9168 0.3777
O 0.1989 0.7116 0.4220
O 0.2183 0.7431 0.9368
O 0.2402 0.8458 0.0845
O 0.4415 0.0883 0.8169
O 0.4412 0.1233 0.3349
O 0.7036 0.3733 0.5855
F 0.1631 0.8404 0.5720
F 0.1703 0.2597 0.9669
F 0.2528 0.3100 0.5396
F 0.4125 0.5109 0.2192
F 0.4434 0.9703 0.6656
F 0.4856 0.5726 0.7870
F 0.4976 0.9831 0.1872
F 0.6593 0.7616 0.4663
F 0.7065 0.3191 0.0702
F 0.7080 0.2240 0.9200
F 0.7394 0.2370 0.4372
F 0.7634 0.8110 0.0405
F 0.9058 0.5989 0.3172
F 0.9138 0.0071 0.7167
F 0.9466 0.6053 0.8371
F 0.9632 0.4564 0.1707
F 0.9709 0.4944 0.6900
F 0.9850 0.0731 0.2884

***

Crystalline TbSnIr at its relaxed geometry. Source: Materials Project, functional r²SCAN.

## Properties
total magnetization: 0.00 μB per cell
energy relative to the elements: -0.948 eV per atom
V: 63.54 Å³/f.u.
theoretical density: 12.3 g cm⁻³

Cell: 7.4300 7.4300 3.9870 Å, 90.00 90.00 120.00°
Space group P-62m (No. 189)
Symmetry-distinct sites (fractional):
Tb 0.0000 0.5929 0.0000
Sn 0.0000 0.2572 0.5000
Ir 0.0000 0.0000 0.0000
Ir 0.3333 0.6667 0.5000

***

Crystalline Ce2SbTe at its relaxed geometry. Source: Materials Project, functional r²SCAN.

## Properties
total magnetization: 2.40 μB per cell
energy relative to the elements: -1.554 eV per atom
V: 134.89 Å³/f.u.
theoretical density: 6.5 g cm⁻³

Cell: 4.5662 4.5662 6.4698 Å, 90.00 90.00 90.00°
Space group P4/mmm (No. 123)
Symmetry-distinct sites (fractional):
Ce 0.0000 0.0000 0.0000
Ce 0.5000 0.5000 0.5000
Sb 0.0000 0.0000 0.5000
Te 0.5000 0.5000 0.0000

***

Crystalline BIrPd at its relaxed geometry. Source: Materials Project, functional r²SCAN.

## Properties
total magnetization: 0.00 μB per cell
energy relative to the elements: -0.304 eV per atom
V: 37.36 Å³/f.u.
theoretical density: 13.8 g cm⁻³

Cell: 8.8077 10.1996 6.6540 Å, 90.00 90.00 90.00°
Space group Fdd2 (No. 43)
Symmetry-distinct sites (fractional):
B 0.0597 0.2353 0.0000
Ir 0.0126 0.1327 0.7310
Pd 0.0864 0.1149 0.3206

***

Crystalline V6CoRh at its relaxed geometry. Source: Materials Project, functional r²SCAN.

## Properties
total magnetization: 0.00 μB per cell
energy relative to the elements: -0.239 eV per atom
V: 103.22 Å³/f.u.
theoretical density: 7.5 g cm⁻³

Cell: 4.6909 4.6909 4.6909 Å, 90.00 90.00 90.00°
Space group Pm-3 (No. 200)
Symmetry-distinct sites (fractional):
V 0.0000 0.2459 0.5000
Co 0.0000 0.0000 0.0000
Rh 0.5000 0.5000 0.5000

***

Repeat the first record exactly.
Crystalline CaSb2 at its relaxed geometry. Source: Materials Project, functional r²SCAN.

## Properties
total magnetization: 0.00 μB per cell
energy relative to the elements: -0.697 eV per atom
V: 86.02 Å³/f.u.
theoretical density: 5.5 g cm⁻³

Cell: 4.6372 4.2712 8.9846 Å, 90.00 104.81 90.00°
Space group P2_1/m (No. 11)
Symmetry-distinct sites (fractional):
Ca 0.1070 0.2500 0.2152
Sb 0.2581 0.7500 0.5128
Sb 0.4421 0.2500 0.8832

***

Q: Look up the theoretical density of the third one.
A: 12.3 g cm⁻³

***

Q: Which of these has the lowest theoretical density?
A: V4O3F9

***

Q: Number 2 is which compound?
A: V4O3F9